(1)
VASP calculation (GGA-PBE) on a geometry-optimized SrCeO3 structure.

DFT total energy, eV/f.u.: -38.48
Mass density, g cm⁻³: 5.63

abc: 6.206 8.668 6.049
angles: 90.00 90.00 90.00
Fractional positions:
Sr 0.046 0.250 0.012
Sr 0.454 0.750 0.512
Sr 0.546 0.250 0.488
Sr 0.954 0.750 0.988
Ce 0.000 0.000 0.500
Ce 0.000 0.500 0.500
Ce 0.500 0.000 0.000
Ce 0.500 0.500 0.000
O 0.044 0.750 0.394
O 0.200 0.557 0.800
O 0.200 0.943 0.800
O 0.300 0.057 0.300
O 0.300 0.443 0.300
O 0.456 0.250 0.894
O 0.544 0.750 0.106
O 0.700 0.557 0.700
O 0.700 0.943 0.700
O 0.800 0.057 0.200
O 0.800 0.443 0.200
O 0.956 0.250 0.606

***

(2)
VASP calculation (GGA-PBE) on a geometry-optimized Sr2CeTiO6 structure.

DFT total energy, eV/f.u.: -77.68
Mass density, g cm⁻³: 5.21

abc: 5.915 5.915 5.915
angles: 60.00 60.00 60.00
Fractional positions:
Sr 0.250 0.250 0.250
Sr 0.750 0.750 0.750
Ce 0.000 0.000 0.000
Ti 0.500 0.500 0.500
O 0.264 0.264 0.736
O 0.264 0.736 0.264
O 0.264 0.736 0.736
O 0.736 0.264 0.264
O 0.736 0.264 0.736
O 0.736 0.736 0.264

***

(3)
VASP calculation (GGA-PBE) on a geometry-optimized Sr2Ce2Ti5O15 structure.

DFT total energy, eV/f.u.: -204.03
Mass density, g cm⁻³: 5.20

abc: 11.714 11.714 11.714
angles: 27.30 27.30 27.30
Fractional positions:
Sr 0.200 0.200 0.200
Sr 0.800 0.800 0.800
Ce 0.398 0.398 0.398
Ce 0.602 0.602 0.602
Ti 0.097 0.097 0.097
Ti 0.302 0.302 0.302
Ti 0.500 0.500 0.500
Ti 0.698 0.698 0.698
Ti 0.903 0.903 0.903
O 0.000 0.500 0.500
O 0.103 0.103 0.590
O 0.103 0.590 0.103
O 0.207 0.699 0.699
O 0.301 0.301 0.793
O 0.301 0.793 0.301
O 0.410 0.897 0.897
O 0.500 0.000 0.500
O 0.500 0.500 0.000
O 0.590 0.103 0.103
O 0.699 0.207 0.699
O 0.699 0.699 0.207
O 0.793 0.301 0.301
O 0.897 0.410 0.897
O 0.897 0.897 0.410

***

(4)
VASP calculation (GGA-PBE) on a geometry-optimized Sr2CeZrO6 structure.

DFT total energy, eV/f.u.: -79.37
Mass density, g cm⁻³: 5.37
E above lowest polymorph, eV per formula unit: 0.00

abc: 8.534 8.534 8.534
angles: 90.00 90.00 90.00
Fractional positions:
Sr 0.250 0.250 0.250
Sr 0.250 0.250 0.750
Sr 0.250 0.750 0.250
Sr 0.250 0.750 0.750
Sr 0.750 0.250 0.250
Sr 0.750 0.250 0.750
Sr 0.750 0.750 0.250
Sr 0.750 0.750 0.750
Ce 0.000 0.000 0.000
Ce 0.000 0.500 0.500
Ce 0.500 0.000 0.500
Ce 0.500 0.500 0.000
Zr 0.000 0.000 0.500
Zr 0.000 0.500 0.000
Zr 0.500 0.000 0.000
Zr 0.500 0.500 0.500
O 0.037 0.544 0.757
O 0.037 0.956 0.743
O 0.044 0.243 0.537
O 0.044 0.257 0.963
O 0.243 0.537 0.044
O 0.243 0.963 0.456
O 0.257 0.537 0.456
O 0.257 0.963 0.044
O 0.456 0.243 0.963
O 0.456 0.257 0.537
O 0.463 0.544 0.743
O 0.463 0.956 0.757
O 0.537 0.044 0.243
O 0.537 0.456 0.257
O 0.544 0.743 0.463
O 0.544 0.757 0.037
O 0.743 0.037 0.956
O 0.743 0.463 0.544
O 0.757 0.037 0.544
O 0.757 0.463 0.956
O 0.956 0.743 0.037
O 0.956 0.757 0.463
O 0.963 0.044 0.257
O 0.963 0.456 0.243

***

(5)
VASP calculation (GGA-PBE) on a geometry-optimized Sr2CeZrO6 structure.

DFT total energy, eV/f.u.: -78.61
Mass density, g cm⁻³: 5.20
E above lowest polymorph, eV per formula unit: 0.76

abc: 6.101 6.101 6.101
angles: 60.00 60.00 60.00
Fractional positions:
Sr 0.250 0.250 0.250
Sr 0.750 0.750 0.750
Ce 0.000 0.000 0.000
Zr 0.500 0.500 0.500
O 0.257 0.257 0.743
O 0.257 0.743 0.257
O 0.257 0.743 0.743
O 0.743 0.257 0.257
O 0.743 0.257 0.743
O 0.743 0.743 0.257

***

(6)
VASP calculation (GGA-PBE) on a geometry-optimized CeTaO4 structure.

DFT total energy, eV/f.u.: -56.82
Mass density, g cm⁻³: 7.84

abc: 7.706 5.510 7.801
angles: 90.00 100.13 90.00
Fractional positions:
Ce 0.152 0.225 0.398
Ce 0.152 0.275 0.898
Ce 0.848 0.725 0.102
Ce 0.848 0.775 0.602
Ta 0.334 0.733 0.195
Ta 0.334 0.767 0.695
Ta 0.666 0.233 0.305
Ta 0.666 0.267 0.805
O 0.114 0.513 0.169
O 0.114 0.987 0.669
O 0.165 0.504 0.631
O 0.165 0.996 0.131
O 0.331 0.656 0.944
O 0.331 0.844 0.444
O 0.442 0.090 0.795
O 0.442 0.410 0.295
O 0.558 0.590 0.705
O 0.558 0.910 0.205
O 0.669 0.156 0.556
O 0.669 0.344 0.056
O 0.835 0.004 0.869
O 0.835 0.496 0.369
O 0.886 0.013 0.331
O 0.886 0.487 0.831

***

(7)
VASP calculation (GGA-PBE) on a geometry-optimized CeTaTiO6 structure.

DFT total energy, eV/f.u.: -83.72
Mass density, g cm⁻³: 6.80

abc: 11.157 5.368 7.582
angles: 90.00 90.00 90.00
Fractional positions:
Ce 0.043 0.047 0.000
Ce 0.457 0.547 0.500
Ce 0.543 0.453 0.000
Ce 0.957 0.953 0.500
Ta 0.144 0.540 0.257
Ta 0.356 0.040 0.757
Ta 0.644 0.960 0.257
Ta 0.856 0.460 0.757
Ti 0.142 0.536 0.746
Ti 0.358 0.036 0.246
Ti 0.642 0.964 0.746
Ti 0.858 0.464 0.246
O 0.024 0.266 0.714
O 0.027 0.263 0.289
O 0.120 0.658 0.503
O 0.143 0.448 0.001
O 0.210 0.872 0.811
O 0.212 0.877 0.192
O 0.288 0.377 0.692
O 0.290 0.372 0.311
O 0.357 0.948 0.501
O 0.380 0.158 0.003
O 0.473 0.763 0.789
O 0.476 0.766 0.214
O 0.524 0.234 0.714
O 0.527 0.237 0.289
O 0.620 0.842 0.503
O 0.643 0.052 0.001
O 0.710 0.628 0.811
O 0.712 0.623 0.192
O 0.788 0.123 0.692
O 0.790 0.128 0.311
O 0.857 0.552 0.501
O 0.880 0.342 0.003
O 0.973 0.737 0.789
O 0.976 0.734 0.214

***

(8)
VASP calculation (GGA-PBE) on a geometry-optimized Ce2TeO2 structure.

DFT total energy, eV/f.u.: -39.16
Mass density, g cm⁻³: 6.96

abc: 7.032 7.032 7.032
angles: 146.60 146.60 47.95
Fractional positions:
Ce 0.156 0.156 0.000
Ce 0.844 0.844 0.000
Te 0.500 0.500 0.000
O 0.250 0.750 0.500
O 0.750 0.250 0.500